CaCeMg14: optimized geometry, PBE.

Results
Relative energy among the computed polymorphs, kJ/mol of atoms: 0.00
Energy of formation from the pure elements, eV/atom: 0.039

Cell: 6.6307 6.6307 10.3529 Å, 90.00 90.00 120.00°
Element x y z (fractional)
1 Ca 0.1667 0.3333 0.1250
2 Ce 0.1667 0.3333 0.6250
3 Mg 0.1735 0.8367 0.1250
4 Mg 0.1778 0.8389 0.6250
5 Mg 0.6633 0.3265 0.1250
6 Mg 0.6611 0.3222 0.6250
7 Mg 0.6633 0.8367 0.1250
8 Mg 0.6611 0.8389 0.6250
9 Mg 0.3384 0.1616 0.3756
10 Mg 0.3384 0.1616 0.8744
11 Mg 0.3384 0.6769 0.3756
12 Mg 0.3384 0.6769 0.8744
13 Mg 0.8231 0.1616 0.3756
14 Mg 0.8231 0.1616 0.8744
15 Mg 0.8333 0.6667 0.3796
16 Mg 0.8333 0.6667 0.8704